Entry from the Materials Project: an optimized crystal structure of CuN (GGA-PBE).

Results
raw total energy	-46.65	eV/cell

Unit cell a=5.253 b=2.832 c=6.107 alpha=90.00 beta=103.76 gamma=90.00
Space group C2/m (No. 12)
One atom of each set of equivalent atoms:
Cu 0.117 0.000 0.339 (multiplicity 4)
N 0.026 0.500 0.100 (multiplicity 4)

Entry from the Materials Project: an optimized crystal structure of Cu3N (GGA-PBE).

Results
raw total energy	-19.50	eV/cell

Unit cell a=3.815 b=3.815 c=3.815 alpha=90.00 beta=90.00 gamma=90.00
Space group Pm-3m (No. 221)
One atom of each set of equivalent atoms:
Cu 0.000 0.000 0.500 (multiplicity 3)
N 0.000 0.000 0.000 (multiplicity 1)

Entry from the Materials Project: an optimized crystal structure of Cu3N (GGA-PBE).

Results
raw total energy	-37.43	eV/cell

Unit cell a=2.844 b=2.844 c=11.012 alpha=90.00 beta=90.00 gamma=90.00
Space group I4/mmm (No. 139)
One atom of each set of equivalent atoms:
Cu 0.000 0.000 0.000 (multiplicity 2)
Cu 0.000 0.000 0.322 (multiplicity 4)
N 0.000 0.000 0.500 (multiplicity 2)

Entry from the Materials Project: an optimized crystal structure of CuN (GGA-PBE).

Results
raw total energy	-41.93	eV/cell

Unit cell a=4.431 b=4.431 c=4.431 alpha=90.00 beta=90.00 gamma=90.00
Space group F-43m (No. 216)
One atom of each set of equivalent atoms:
Cu 0.000 0.000 0.000 (multiplicity 4)
N 0.250 0.250 0.750 (multiplicity 4)

Entry from the Materials Project: an optimized crystal structure of Cu3N (GGA-PBE).

Results
raw total energy	-37.79	eV/cell

Unit cell a=2.859 b=3.790 c=8.173 alpha=90.00 beta=90.00 gamma=90.00
Space group Immm (No. 71)
One atom of each set of equivalent atoms:
Cu 0.000 0.000 0.000 (multiplicity 2)
Cu 0.000 0.000 0.321 (multiplicity 4)
N 0.000 0.500 0.000 (multiplicity 2)

Entry from the Materials Project: an optimized crystal structure of Cu10N3 (GGA-PBE).

Results
raw total energy	-62.35	eV/cell

Unit cell a=5.4234 b=5.4234 c=6.6132 alpha=90.00 beta=90.00 gamma=120.00
Space group P-3m1 (No. 164)
One atom of each set of equivalent atoms:
Cu 0.0000 0.0000 0.0000 (multiplicity 1)
Cu 0.0000 0.5000 0.0000 (multiplicity 3)
Cu 0.1634 0.3269 0.3291 (multiplicity 6)
N 0.0000 0.0000 0.5000 (multiplicity 1)
N 0.3333 0.6667 0.1736 (multiplicity 2)

Entry from the Materials Project: an optimized crystal structure of Cu3N (GGA-PBE).

Results
raw total energy	-18.22	eV/cell

Unit cell a=2.7451 b=2.7451 c=6.6127 alpha=90.00 beta=90.00 gamma=120.00
Space group P-3m1 (No. 164)
One atom of each set of equivalent atoms:
Cu 0.0000 0.0000 0.0000 (multiplicity 1)
Cu 0.3333 0.6667 0.3048 (multiplicity 2)
N 0.0000 0.0000 0.5000 (multiplicity 1)

Entry from the Materials Project: an optimized crystal structure of Cu3N (GGA-PBE).

Results
raw total energy	-144.87	eV/cell

Unit cell a=7.447 b=7.447 c=7.410 alpha=90.00 beta=90.00 gamma=90.00
Space group P4/mmm (No. 123)
One atom of each set of equivalent atoms:
Cu 0.000 0.245 0.000 (multiplicity 4)
Cu 0.000 0.249 0.500 (multiplicity 4)
Cu 0.000 0.500 0.255 (multiplicity 4)
Cu 0.255 0.500 0.000 (multiplicity 4)
Cu 0.261 0.261 0.268 (multiplicity 8)
N 0.000 0.000 0.000 (multiplicity 1)
N 0.000 0.000 0.500 (multiplicity 1)
N 0.000 0.500 0.000 (multiplicity 2)
N 0.000 0.500 0.500 (multiplicity 2)
N 0.500 0.500 0.000 (multiplicity 1)
N 0.500 0.500 0.500 (multiplicity 1)

Please write out number 6 again, unchanged.
Entry from the Materials Project: an optimized crystal structure of Cu10N3 (GGA-PBE).

Results
raw total energy	-62.35	eV/cell

Unit cell a=5.4234 b=5.4234 c=6.6132 alpha=90.00 beta=90.00 gamma=120.00
Space group P-3m1 (No. 164)
One atom of each set of equivalent atoms:
Cu 0.0000 0.0000 0.0000 (multiplicity 1)
Cu 0.0000 0.5000 0.0000 (multiplicity 3)
Cu 0.1634 0.3269 0.3291 (multiplicity 6)
N 0.0000 0.0000 0.5000 (multiplicity 1)
N 0.3333 0.6667 0.1736 (multiplicity 2)